Entry 1:
A relaxed structure of Li11TiP5. Source: Materials Project, functional GGA-PBE.

Cell: 7.189 7.189 10.270 Å, 63.33 63.33 33.24°
Positions (direct):
Li (0.198, 0.198, 0.923)
Li (0.604, 0.604, 0.097)
Li (0.607, 0.607, 0.350)
Li (0.601, 0.601, 0.849)
Li (0.991, 0.991, 0.255)
Li (0.020, 0.020, 0.739)
Li (0.394, 0.394, 0.919)
Li (0.416, 0.416, 0.641)
Li (0.383, 0.383, 0.169)
Li (0.797, 0.797, 0.078)
Li (0.194, 0.194, 0.435)
Ti (0.797, 0.797, 0.558)
P (0.995, 0.995, 0.003)
P (0.388, 0.388, 0.420)
P (0.808, 0.808, 0.784)
P (0.192, 0.192, 0.183)
P (0.614, 0.614, 0.598)

Density = 1.8 g cm⁻³
Energy of formation = -12.1 eV/f.u.
Space-group type = Cm, No. 8
Raw total energy = -4.0061 eV per atom
Calculated volume = 257 Å³/f.u.

***

Entry 2:
A relaxed structure of ZnH3CNO3. Source: Materials Project, functional GGA-PBE.

Cell: 5.239 8.311 9.445 Å, 90.00 90.00 90.00°
Positions (direct):
Zn (0.254, 0.317, 0.381)
Zn (0.754, 0.683, 0.619)
Zn (0.754, 0.817, 0.119)
Zn (0.254, 0.183, 0.881)
H (0.125, 0.603, 0.150)
H (0.625, 0.397, 0.850)
H (0.625, 0.103, 0.350)
H (0.125, 0.897, 0.650)
H (0.993, 0.582, 0.992)
H (0.493, 0.418, 0.008)
H (0.493, 0.082, 0.508)
H (0.993, 0.918, 0.492)
H (0.189, 0.735, 0.026)
H (0.689, 0.265, 0.974)
H (0.689, 0.235, 0.474)
H (0.189, 0.765, 0.526)
C (0.986, 0.125, 0.150)
C (0.486, 0.875, 0.850)
C (0.486, 0.625, 0.350)
C (0.986, 0.375, 0.650)
N (0.043, 0.666, 0.067)
N (0.543, 0.334, 0.933)
N (0.543, 0.166, 0.433)
N (0.043, 0.834, 0.567)
O (0.990, 0.393, 0.512)
O (0.490, 0.607, 0.488)
O (0.490, 0.893, 0.988)
O (0.990, 0.107, 0.012)
O (0.070, 0.255, 0.206)
O (0.570, 0.745, 0.794)
O (0.570, 0.755, 0.294)
O (0.070, 0.245, 0.706)
O (0.383, 0.512, 0.274)
O (0.883, 0.488, 0.726)
O (0.883, 0.012, 0.226)
O (0.383, 0.988, 0.774)

Density = 2.3 g cm⁻³
Energy of formation = -10.9 eV/f.u.
Space-group type = Pna2_1, No. 33
Raw total energy = -5.8532 eV per atom
Calculated volume = 103 Å³/f.u.

***

Entry 3:
A relaxed structure of CeSm3. Source: Materials Project, functional GGA-PBE.

Cell: 7.202 7.202 5.859 Å, 90.00 90.00 120.00°
Positions (direct):
Ce (0.333, 0.667, 0.750)
Ce (0.667, 0.333, 0.250)
Sm (0.166, 0.333, 0.250)
Sm (0.667, 0.834, 0.250)
Sm (0.166, 0.834, 0.250)
Sm (0.834, 0.667, 0.750)
Sm (0.333, 0.166, 0.750)
Sm (0.834, 0.166, 0.750)

Density = 7.5 g cm⁻³
Energy of formation = 0.4 eV/f.u.
Space-group type = P6_3/mmc, No. 194
Raw total energy = -4.9323 eV per atom
Calculated volume = 132 Å³/f.u.

***

Entry 4:
A relaxed structure of Ba2LaNb5O15. Source: Materials Project, functional GGA-PBE.

Cell: 12.749 12.749 4.045 Å, 90.00 90.00 90.00°
Positions (direct):
Ba (0.668, 0.168, 0.000)
Ba (0.332, 0.832, 0.000)
Ba (0.168, 0.332, 0.000)
Ba (0.832, 0.668, 0.000)
La (0.500, 0.500, 0.000)
La (0.000, 0.000, 0.000)
Nb (0.577, 0.712, 0.500)
Nb (0.423, 0.288, 0.500)
Nb (0.077, 0.788, 0.500)
Nb (0.923, 0.212, 0.500)
Nb (0.288, 0.577, 0.500)
Nb (0.712, 0.423, 0.500)
Nb (0.212, 0.077, 0.500)
Nb (0.788, 0.923, 0.500)
Nb (0.500, 0.000, 0.500)
Nb (0.000, 0.500, 0.500)
O (0.576, 0.700, 0.000)
O (0.424, 0.300, 0.000)
O (0.076, 0.800, 0.000)
O (0.924, 0.200, 0.000)
O (0.300, 0.576, 0.000)
O (0.700, 0.424, 0.000)
O (0.200, 0.076, 0.000)
O (0.800, 0.924, 0.000)
O (0.631, 0.563, 0.500)
O (0.369, 0.437, 0.500)
O (0.131, 0.937, 0.500)
O (0.869, 0.063, 0.500)
O (0.437, 0.631, 0.500)
O (0.563, 0.369, 0.500)
O (0.063, 0.131, 0.500)
O (0.937, 0.869, 0.500)
O (0.779, 0.279, 0.500)
O (0.221, 0.721, 0.500)
O (0.279, 0.221, 0.500)
O (0.721, 0.779, 0.500)
O (0.841, 0.509, 0.500)
O (0.159, 0.491, 0.500)
O (0.341, 0.991, 0.500)
O (0.659, 0.009, 0.500)
O (0.491, 0.841, 0.500)
O (0.509, 0.159, 0.500)
O (0.009, 0.341, 0.500)
O (0.991, 0.659, 0.500)
O (0.500, 0.000, 0.000)
O (0.000, 0.500, 0.000)

Density = 5.6 g cm⁻³
Energy of formation = -74.8 eV/f.u.
Space-group type = P4/mbm, No. 127
Raw total energy = -8.6097 eV per atom
Calculated volume = 329 Å³/f.u.

***

Entry 5:
A relaxed structure of NaPrHfGaO6. Source: Materials Project, functional GGA-PBE.

Cell: 5.652 5.652 5.652 Å, 60.00 60.00 60.00°
Positions (direct):
Na (0.250, 0.250, 0.250)
Pr (0.750, 0.750, 0.750)
Hf (0.500, 0.500, 0.500)
Ga (0.000, 0.000, 0.000)
O (0.755, 0.245, 0.245)
O (0.245, 0.755, 0.755)
O (0.755, 0.245, 0.755)
O (0.245, 0.755, 0.245)
O (0.755, 0.755, 0.245)
O (0.245, 0.245, 0.755)

Density = 6.6 g cm⁻³
Energy of formation = -28.8 eV/f.u.
Space-group type = F-43m, No. 216
Raw total energy = -7.3421 eV per atom
Calculated volume = 128 Å³/f.u.

***

Entry 6:
A relaxed structure of SrLaCuSe3. Source: Materials Project, functional GGA-PBE.

Cell: 4.189 8.618 16.936 Å, 90.00 90.00 90.00°
Positions (direct):
Sr (0.750, 0.738, 0.965)
Sr (0.250, 0.262, 0.035)
Sr (0.250, 0.762, 0.465)
Sr (0.750, 0.238, 0.535)
La (0.750, 0.906, 0.213)
La (0.250, 0.094, 0.787)
La (0.250, 0.594, 0.713)
La (0.750, 0.406, 0.287)
Cu (0.750, 0.878, 0.635)
Cu (0.250, 0.122, 0.365)
Cu (0.250, 0.622, 0.135)
Cu (0.750, 0.378, 0.865)
Se (0.750, 0.821, 0.779)
Se (0.250, 0.179, 0.221)
Se (0.250, 0.679, 0.279)
Se (0.750, 0.321, 0.721)
Se (0.750, 0.986, 0.393)
Se (0.250, 0.014, 0.607)
Se (0.250, 0.514, 0.893)
Se (0.750, 0.486, 0.107)
Se (0.750, 0.614, 0.579)
Se (0.250, 0.386, 0.421)
Se (0.250, 0.886, 0.079)
Se (0.750, 0.114, 0.921)

Density = 5.7 g cm⁻³
Energy of formation = -10.9 eV/f.u.
Space-group type = Pnma, No. 62
Raw total energy = -5.1118 eV per atom
Calculated volume = 153 Å³/f.u.

***

Entry 7:
A relaxed structure of Ni2PPd. Source: Materials Project, functional GGA-PBE.

Cell: 4.579 4.579 6.557 Å, 90.00 90.00 135.43°
Positions (direct):
Ni (0.853, 0.147, 0.055)
Ni (0.147, 0.853, 0.945)
Ni (0.147, 0.853, 0.555)
Ni (0.853, 0.147, 0.445)
P (0.269, 0.731, 0.250)
P (0.731, 0.269, 0.750)
Pd (0.555, 0.445, 0.250)
Pd (0.445, 0.555, 0.750)

Density = 8.8 g cm⁻³
Energy of formation = -1.9 eV/f.u.
Space-group type = Cmcm, No. 63
Raw total energy = -6.0203 eV per atom
Calculated volume = 48 Å³/f.u.

***

Entry 8:
A relaxed structure of TiNb2O7. Source: Materials Project, functional GGA-PBE.

Cell: 10.568 10.568 12.164 Å, 60.43 60.43 20.87°
Positions (direct):
Ti (0.921, 0.921, 0.641)
Ti (0.000, 0.000, 0.998)
Ti (0.709, 0.709, 0.363)
Nb (0.107, 0.107, 0.632)
Nb (0.181, 0.181, 0.000)
Nb (0.294, 0.294, 0.634)
Nb (0.077, 0.077, 0.368)
Nb (0.818, 0.818, 0.004)
Nb (0.890, 0.890, 0.363)
O (0.050, 0.050, 0.803)
O (0.708, 0.708, 0.997)
O (0.875, 0.875, 0.810)
O (0.628, 0.628, 0.580)
O (0.099, 0.099, 0.984)
O (0.792, 0.792, 0.382)
O (0.024, 0.024, 0.583)
O (0.249, 0.249, 0.808)
O (0.500, 0.500, 0.000)
O (0.173, 0.173, 0.402)
O (0.403, 0.403, 0.624)
O (0.598, 0.598, 0.378)
O (0.827, 0.827, 0.596)
O (0.750, 0.750, 0.196)
O (0.975, 0.975, 0.415)
O (0.210, 0.210, 0.617)
O (0.902, 0.902, 0.015)
O (0.373, 0.373, 0.420)
O (0.125, 0.125, 0.191)
O (0.291, 0.291, 0.004)
O (0.952, 0.952, 0.194)

Density = 4.1 g cm⁻³
Energy of formation = -31.5 eV/f.u.
Space-group type = Cm, No. 8
Raw total energy = -8.9454 eV per atom
Calculated volume = 140 Å³/f.u.

***

Entry 9:
A relaxed structure of YWN3. Source: Materials Project, functional GGA-PBE.

Cell: 7.386 7.386 6.311 Å, 73.38 73.38 81.53°
Positions (direct):
Y (0.711, 0.289, 0.750)
Y (0.090, 0.910, 0.750)
Y (0.289, 0.711, 0.250)
Y (0.910, 0.090, 0.250)
W (0.380, 0.202, 0.225)
W (0.620, 0.798, 0.775)
W (0.798, 0.620, 0.275)
W (0.202, 0.380, 0.725)
N (0.625, 0.114, 0.160)
N (0.343, 0.366, 0.427)
N (0.002, 0.219, 0.845)
N (0.375, 0.886, 0.840)
N (0.781, 0.998, 0.655)
N (0.114, 0.625, 0.660)
N (0.886, 0.375, 0.340)
N (0.657, 0.634, 0.573)
N (0.634, 0.657, 0.073)
N (0.366, 0.343, 0.927)
N (0.998, 0.781, 0.155)
N (0.219, 0.002, 0.345)

Density = 6.6 g cm⁻³
Energy of formation = -6.0 eV/f.u.
Space-group type = C2/c, No. 15
Raw total energy = -9.8779 eV per atom
Calculated volume = 79 Å³/f.u.

***

Entry 10:
A relaxed structure of Sn2PO5. Source: Materials Project, functional GGA-PBE.

Cell: 7.723 6.664 10.868 Å, 66.06 90.00 90.00°
Positions (direct):
Sn (0.022, 0.740, 0.660)
Sn (0.478, 0.740, 0.160)
Sn (0.978, 0.260, 0.340)
Sn (0.522, 0.260, 0.840)
Sn (0.452, 0.242, 0.516)
Sn (0.048, 0.242, 0.016)
Sn (0.548, 0.758, 0.484)
Sn (0.952, 0.758, 0.984)
P (0.606, 0.779, 0.787)
P (0.894, 0.779, 0.287)
P (0.394, 0.221, 0.213)
P (0.106, 0.221, 0.713)
O (0.700, 0.759, 0.918)
O (0.800, 0.759, 0.418)
O (0.300, 0.241, 0.082)
O (0.200, 0.241, 0.582)
O (0.011, 0.995, 0.770)
O (0.489, 0.995, 0.270)
O (0.989, 0.005, 0.230)
O (0.511, 0.005, 0.730)
O (0.733, 0.771, 0.676)
O (0.767, 0.771, 0.176)
O (0.267, 0.229, 0.324)
O (0.233, 0.229, 0.824)
O (0.969, 0.402, 0.682)
O (0.531, 0.402, 0.182)
O (0.031, 0.598, 0.318)
O (0.469, 0.598, 0.818)
O (0.534, 0.428, 0.624)
O (0.966, 0.428, 0.124)
O (0.466, 0.572, 0.376)
O (0.034, 0.572, 0.876)

Density = 4.5 g cm⁻³
Energy of formation = -17.1 eV/f.u.
Space-group type = P2_1/c, No. 14
Raw total energy = -6.4783 eV per atom
Calculated volume = 128 Å³/f.u.

***

Entry 11:
A relaxed structure of CaAg2O4. Source: Materials Project, functional GGA-PBE.

Cell: 6.661 6.661 6.661 Å, 125.93 125.93 80.00°
Positions (direct):
Ca (0.750, 0.250, 0.500)
Ca (0.000, 0.000, 0.000)
Ag (0.375, 0.125, 0.750)
Ag (0.375, 0.625, 0.250)
Ag (0.875, 0.625, 0.250)
Ag (0.375, 0.625, 0.750)
O (0.047, 0.995, 0.644)
O (0.597, 0.953, 0.948)
O (0.005, 0.649, 0.052)
O (0.399, 0.847, 0.144)
O (0.745, 0.601, 0.448)
O (0.153, 0.297, 0.552)
O (0.351, 0.403, 0.356)
O (0.703, 0.255, 0.856)

Density = 5.7 g cm⁻³
Energy of formation = -9.4 eV/f.u.
Space-group type = I4_1/a, No. 88
Raw total energy = -4.8771 eV per atom
Calculated volume = 94 Å³/f.u.

***

Entry 12:
A relaxed structure of Li8ZrO6. Source: Materials Project, functional GGA-PBE.

Cell: 6.118 6.118 6.118 Å, 53.81 53.81 53.81°
Positions (direct):
Li (0.505, 0.897, 0.233)
Li (0.767, 0.495, 0.103)
Li (0.103, 0.767, 0.495)
Li (0.655, 0.655, 0.655)
Li (0.345, 0.345, 0.345)
Li (0.897, 0.233, 0.505)
Li (0.233, 0.505, 0.897)
Li (0.495, 0.103, 0.767)
Zr (0.000, 0.000, 0.000)
O (0.387, 0.764, 0.093)
O (0.907, 0.613, 0.236)
O (0.236, 0.907, 0.613)
O (0.764, 0.093, 0.387)
O (0.093, 0.387, 0.764)
O (0.613, 0.236, 0.907)

Density = 2.9 g cm⁻³
Energy of formation = -36.9 eV/f.u.
Space-group type = R-3, No. 148
Raw total energy = -5.7552 eV per atom
Calculated volume = 139 Å³/f.u.